No. 1
Computed, not measured: NdLu3S6 after structural relaxation at the meta-GGA r2SCAN level of DFT.

Lattice parameters (Å, degrees): 3.9099 10.8999 11.1440 70.95 90.00 90.00
Fractional positions:
S: 0.7500 0.9774 0.8881
S: 0.7500 0.3008 0.7489
S: 0.2500 0.5815 0.5912
S: 0.7500 0.8931 0.4426
S: 0.7500 0.2313 0.2294
S: 0.2500 0.7687 0.7706
S: 0.7500 0.6205 0.0359
S: 0.7500 0.4185 0.4088
S: 0.2500 0.6992 0.2511
S: 0.2500 0.0226 0.1119
S: 0.2500 0.1069 0.5574
S: 0.2500 0.3795 0.9641
Lu: 0.7500 0.6616 0.4121
Lu: 0.2500 0.0569 0.3335
Lu: 0.2500 0.3384 0.5879
Lu: 0.7500 0.9431 0.6665
Lu: 0.7500 0.1795 0.9990
Lu: 0.2500 0.8205 0.0010
Nd: 0.2500 0.4498 0.1965
Nd: 0.7500 0.5502 0.8035

Results
volume = 224 Å³/f.u.
SG = P2_1/m
energy = -431.39 eV/cell



No. 2
Computed, not measured: LuNi5 after structural relaxation at the meta-GGA r2SCAN level of DFT.

Lattice parameters (Å, degrees): 4.7752 4.7751 3.9031 90.00 90.00 120.00
Fractional positions:
Ni: 0.0000 0.5000 0.5000
Ni: 0.5000 0.5000 0.5000
Ni: 0.5000 0.0000 0.5000
Ni: 0.3333 0.6667 0.0000
Ni: 0.6667 0.3333 0.0000
Lu: 0.0000 0.0000 0.0000

Results
volume = 77 Å³/f.u.
SG = P6/mmm
energy = -99.93 eV/cell



No. 3
Computed, not measured: LuNi after structural relaxation at the meta-GGA r2SCAN level of DFT.

Lattice parameters (Å, degrees): 4.0146 5.2966 6.8869 90.00 90.00 90.00
Fractional positions:
Ni: 0.7500 0.1260 0.4645
Ni: 0.2500 0.8740 0.5355
Ni: 0.2500 0.6260 0.0355
Ni: 0.7500 0.3740 0.9645
Lu: 0.2500 0.1321 0.1798
Lu: 0.2500 0.3679 0.6798
Lu: 0.7500 0.8679 0.8202
Lu: 0.7500 0.6321 0.3202

Results
volume = 37 Å³/f.u.
SG = Pnma
energy = -204.23 eV/cell



No. 4
Computed, not measured: Lu2NiOs after structural relaxation at the meta-GGA r2SCAN level of DFT.

Lattice parameters (Å, degrees): 4.6607 4.6607 4.6607 60.00 60.00 60.00
Fractional positions:
Lu: 0.0000 0.0000 0.0000
Lu: 0.5000 0.5000 0.5000
Ni: 0.2500 0.2500 0.2500
Os: 0.7500 0.7500 0.7500

Results
volume = 72 Å³/f.u.
SG = Fm-3m
energy = -143.03 eV/cell



No. 5
Computed, not measured: LuNiPb after structural relaxation at the meta-GGA r2SCAN level of DFT.

Lattice parameters (Å, degrees): 7.3675 7.3675 3.7832 90.00 90.00 120.00
Fractional positions:
Lu: 0.0000 0.5983 0.5000
Lu: 0.5983 0.0000 0.5000
Lu: 0.4017 0.4017 0.5000
Pb: 0.0000 0.2665 0.0000
Pb: 0.7335 0.7335 0.0000
Pb: 0.2665 0.0000 0.0000
Ni: 0.6667 0.3333 0.0000
Ni: 0.0000 0.0000 0.5000
Ni: 0.3333 0.6667 0.0000

Results
volume = 59 Å³/f.u.
SG = P-62m
energy = -323.19 eV/cell



No. 6
Computed, not measured: LuSi2Ni2 after structural relaxation at the meta-GGA r2SCAN level of DFT.

Lattice parameters (Å, degrees): 3.8870 3.8870 5.4577 110.86 110.86 90.00
Fractional positions:
Si: 0.6251 0.6251 0.2503
Si: 0.3749 0.3749 0.7497
Ni: 0.2500 0.7500 0.5000
Ni: 0.7500 0.2500 0.5000
Lu: 0.0000 0.0000 0.0000

Results
volume = 71 Å³/f.u.
SG = I4/mmm
energy = -83.87 eV/cell



No. 7
Computed, not measured: Lu2NiSn6 after structural relaxation at the meta-GGA r2SCAN level of DFT.

Lattice parameters (Å, degrees): 4.2965 4.3509 11.4263 90.00 100.84 90.00
Fractional positions:
Sn: 0.7053 0.5000 0.4105
Sn: 0.4300 0.0000 0.8599
Sn: 0.5700 0.0000 0.1401
Sn: 0.2947 0.5000 0.5895
Sn: 0.9295 0.5000 0.8590
Sn: 0.0705 0.5000 0.1410
Lu: 0.8225 0.0000 0.6449
Lu: 0.1775 0.0000 0.3551
Ni: 0.5000 0.5000 0.0000

Results
volume = 210 Å³/f.u.
SG = Cmmm
energy = -240.28 eV/cell



No. 8
Computed, not measured: LuNi2Sn after structural relaxation at the meta-GGA r2SCAN level of DFT.

Lattice parameters (Å, degrees): 4.4769 4.4769 4.4769 60.00 60.00 60.00
Fractional positions:
Lu: 0.5000 0.5000 0.5000
Ni: 0.7500 0.7500 0.7500
Ni: 0.2500 0.2500 0.2500
Sn: 0.0000 0.0000 0.0000

Results
volume = 63 Å³/f.u.
SG = Fm-3m
energy = -88.81 eV/cell



No. 9
Computed, not measured: LuNi5Sn after structural relaxation at the meta-GGA r2SCAN level of DFT.

Lattice parameters (Å, degrees): 4.7785 7.9032 10.1031 90.00 90.00 90.00
Fractional positions:
Ni: 0.7500 0.3111 0.2420
Ni: 0.9990 0.4337 0.8095
Ni: 0.4990 0.5663 0.1905
Ni: 0.2500 0.6889 0.7580
Ni: 0.2500 0.1889 0.7420
Ni: 0.5010 0.9337 0.6905
Ni: 0.7500 0.8111 0.2580
Ni: 0.4990 0.0663 0.3095
Ni: 0.0010 0.5663 0.1905
Ni: 0.2500 0.9529 0.9012
Ni: 0.5010 0.4337 0.8095
Ni: 0.9990 0.9337 0.6905
Ni: 0.7500 0.9144 0.4827
Ni: 0.2500 0.5856 0.9827
Ni: 0.7500 0.4144 0.0173
Ni: 0.2500 0.0856 0.5173
Ni: 0.0010 0.0663 0.3095
Ni: 0.2500 0.4529 0.5988
Ni: 0.7500 0.5471 0.4012
Ni: 0.7500 0.0471 0.0988
Sn: 0.7500 0.1397 0.8607
Sn: 0.2500 0.8603 0.1393
Sn: 0.7500 0.6397 0.6393
Sn: 0.2500 0.3603 0.3607
Lu: 0.2500 0.2543 0.0604
Lu: 0.7500 0.2457 0.5604
Lu: 0.7500 0.7457 0.9396
Lu: 0.2500 0.7543 0.4396

Results
volume = 95 Å³/f.u.
SG = Pnma
energy = -500.65 eV/cell



No. 10
Computed, not measured: LuPaO4 after structural relaxation at the meta-GGA r2SCAN level of DFT.

Lattice parameters (Å, degrees): 3.7526 3.7526 5.2690 90.00 90.00 90.00
Fractional positions:
Lu: 0.0000 0.0000 0.0000
O: 0.0000 0.5000 0.2536
O: 0.5000 0.0000 0.7464
O: 0.0000 0.5000 0.7464
O: 0.5000 0.0000 0.2536
Pa: 0.5000 0.5000 0.5000

Results
volume = 74 Å³/f.u.
SG = P4/mmm
energy = -163.36 eV/cell



No. 11
Computed, not measured: LuVPb2O6 after structural relaxation at the meta-GGA r2SCAN level of DFT.

Lattice parameters (Å, degrees): 5.6963 5.6963 5.6963 60.00 60.00 60.00
Fractional positions:
V: 0.5000 0.5000 0.5000
Lu: 0.0000 0.0000 0.0000
O: 0.7331 0.2669 0.2669
O: 0.2669 0.7331 0.2669
O: 0.2669 0.7331 0.7331
O: 0.7331 0.7331 0.2669
O: 0.7331 0.2669 0.7331
O: 0.2669 0.2669 0.7331
Pb: 0.2500 0.2500 0.2500
Pb: 0.7500 0.7500 0.7500

Results
volume = 131 Å³/f.u.
SG = Fm-3m
energy = -224.17 eV/cell



No. 12
Computed, not measured: Lu2Pt2O7 after structural relaxation at the meta-GGA r2SCAN level of DFT.

Lattice parameters (Å, degrees): 7.1024 7.1024 7.1024 60.00 60.00 60.00
Fractional positions:
Pt: 0.6250 0.1250 0.1250
Pt: 0.1250 0.1250 0.6250
Pt: 0.1250 0.1250 0.1250
Pt: 0.1250 0.6250 0.1250
O: 0.2196 0.7804 0.7804
O: 0.0304 0.4696 0.0304
O: 0.4696 0.0304 0.0304
O: 0.5000 0.5000 0.5000
O: 0.7804 0.2196 0.7804
O: 0.7804 0.7804 0.2196
O: 0.2196 0.2196 0.7804
O: 0.0304 0.4696 0.4696
O: 0.4696 0.0304 0.4696
O: 0.4696 0.4696 0.0304
O: 0.0304 0.0304 0.4696
O: 0.7500 0.7500 0.7500
O: 0.7804 0.2196 0.2196
O: 0.2196 0.7804 0.2196
Lu: 0.6250 0.6250 0.1250
Lu: 0.1250 0.6250 0.6250
Lu: 0.6250 0.1250 0.6250
Lu: 0.6250 0.6250 0.6250

Results
volume = 127 Å³/f.u.
SG = Fd-3m
energy = -492.79 eV/cell